DFT (meta-GGA r2SCAN) results for an optimized crystal structure of UGaCo.

extended XYZ file:
```
9
Lattice="0.668 1.864 -3.389 4.552 3.786 2.978 1.782 -5.737 -2.804" Properties=species:S:1:pos:R:3 pbc="T T T"
Co 2.704 -2.562 -0.876
Co 6.666 -1.020 -1.521
Co 3.628 0.611 1.051
U 1.356 -2.358 -3.302
U 3.035 0.101 -1.620
U 2.945 3.104 0.014
Ga 0.419 -1.349 -0.660
Ga 2.852 -4.846 -2.103
Ga 4.844 -1.492 0.134
```

The calculated volume is 149 Å³ per cell. As for the space group: P-62m, No. 189.

---

DFT (meta-GGA r2SCAN) results for an optimized crystal structure of Y2Ga9Co3.

extended XYZ file:
```
28
Lattice="3.652 -6.291 0.000 3.652 6.291 0.000 0.000 0.000 9.379" Properties=species:S:1:pos:R:3 pbc="T T T"
Ga 1.227 2.092 5.351
Ga 6.078 2.092 4.028
Ga 1.227 2.092 8.718
Ga 4.078 -1.331 2.345
Ga 6.404 0.000 2.345
Ga 0.900 0.000 7.035
Ga 3.227 -1.331 7.035
Ga 4.858 0.000 5.225
Ga 4.078 1.331 2.345
Ga 3.227 1.331 7.035
Ga 2.447 0.000 4.154
Ga 1.227 -2.092 8.718
Ga 2.447 0.000 0.536
Ga 6.078 -2.092 4.028
Ga 1.227 -2.092 5.351
Ga 4.858 0.000 8.844
Ga 6.078 -2.092 0.662
Ga 6.078 2.092 0.662
Co 3.652 2.150 0.000
Co 3.652 2.150 4.690
Co 3.652 -2.150 0.000
Co 0.000 0.000 0.000
Co 0.000 0.000 4.690
Co 3.652 -2.150 4.690
Y 1.222 2.069 2.345
Y 6.082 2.069 7.035
Y 6.082 -2.069 7.035
Y 1.222 -2.069 2.345
```

The calculated volume is 431 Å³ per cell. As for the space group: Cmcm, No. 63.

---

DFT (meta-GGA r2SCAN) results for an optimized crystal structure of Y2Ga8Co.

extended XYZ file:
```
11
Lattice="4.200 0.000 0.000 0.000 4.200 0.000 0.000 0.000 11.052" Properties=species:S:1:pos:R:3 pbc="T T T"
Ga 2.100 0.000 5.526
Ga 2.100 2.100 3.374
Ga 2.100 2.100 7.677
Ga 2.100 0.000 9.782
Ga 0.000 2.100 1.270
Ga 0.000 2.100 9.782
Ga 2.100 0.000 1.270
Ga 0.000 2.100 5.526
Y 0.000 0.000 3.375
Y 0.000 0.000 7.676
Co 0.000 0.000 0.000
```

The calculated volume is 195 Å³ per cell. As for the space group: P4/mmm, No. 123.

---

DFT (meta-GGA r2SCAN) results for an optimized crystal structure of YGa2Co3.

extended XYZ file:
```
18
Lattice="3.757 3.486 7.119 -7.467 -4.539 0.760 2.099 -3.363 0.539" Properties=species:S:1:pos:R:3 pbc="T T T"
Co 1.878 1.743 3.559
Co -2.075 -1.038 1.604
Co 1.673 1.996 5.938
Co 0.009 0.452 2.784
Co -1.635 -0.015 6.275
Co -1.855 -0.526 3.939
Co 0.024 1.216 7.498
Co -3.719 -1.505 5.094
Co -5.383 -3.049 1.940
Ga 2.505 0.406 7.622
Ga -0.359 -1.336 7.913
Ga -0.093 -2.006 2.698
Ga 3.648 0.730 5.194
Ga 2.207 -0.607 2.464
Ga -1.517 -2.410 5.719
Y 1.066 -0.870 5.268
Y 0.000 0.000 0.000
Y -2.676 -3.545 3.149
```

The calculated volume is 267 Å³ per cell. As for the space group: P6/mmm, No. 191.

---

DFT (meta-GGA r2SCAN) results for an optimized crystal structure of Y4GaCo4.

extended XYZ file:
```
9
Lattice="-2.846 2.422 1.981 0.490 -5.004 2.308 6.342 4.841 3.192" Properties=species:S:1:pos:R:3 pbc="T T T"
Y 3.957 4.628 4.541
Y 0.030 -2.369 2.940
Y 3.707 1.181 3.881
Y 0.280 1.078 3.599
Co 2.279 1.544 1.387
Co 1.707 0.715 6.094
Co 3.342 2.256 6.558
Co 0.644 0.003 0.922
Ga 1.748 3.632 2.586
```

The calculated volume is 176 Å³ per cell. As for the space group: C2/m, No. 12.

---

DFT (meta-GGA r2SCAN) results for an optimized crystal structure of Y6GaCo2.

extended XYZ file:
```
18
Lattice="-4.724 -4.796 4.934 -4.724 4.796 -4.934 4.724 -4.796 -4.934" Properties=species:S:1:pos:R:3 pbc="T T T"
Y -2.822 -4.796 -1.781
Y -2.035 -1.754 0.000
Y -4.724 1.960 -2.260
Y -7.414 -1.754 0.000
Y 2.690 -3.042 -4.934
Y -1.903 0.000 -6.715
Y 0.000 -6.756 -2.674
Y -2.690 -3.042 -4.934
Y -1.903 0.000 -3.153
Y -4.724 -1.960 -2.260
Y 0.000 -2.836 -2.674
Y -2.822 -4.796 1.781
Co -4.724 -3.663 0.000
Co 0.000 0.000 -8.791
Co 0.000 -1.133 -4.934
Co 0.000 0.000 -1.077
Ga -4.724 0.000 0.000
Ga 0.000 -4.796 0.000
```

The calculated volume is 447 Å³ per cell. As for the space group: Immm, No. 71.

---

DFT (meta-GGA r2SCAN) results for an optimized crystal structure of ZnGaCo2.

extended XYZ file:
```
4
Lattice="-1.252 -0.648 3.757 0.672 2.752 2.842 -3.055 2.130 1.493" Properties=species:S:1:pos:R:3 pbc="T T T"
Ga -1.817 2.117 4.046
Co -0.909 1.059 2.023
Co -2.726 3.176 6.069
Zn 0.000 0.000 0.000
```

The calculated volume is 46 Å³ per cell. As for the space group: Fm-3m, No. 225.

---

DFT (meta-GGA r2SCAN) results for an optimized crystal structure of ZrGaCo.

extended XYZ file:
```
9
Lattice="3.478 -6.024 0.000 3.478 6.024 0.000 0.000 0.000 3.308" Properties=species:S:1:pos:R:3 pbc="T T T"
Ga 0.916 -1.587 0.000
Ga 0.916 1.587 0.000
Ga 5.124 0.000 0.000
Co 0.000 0.000 1.654
Co 3.478 2.008 0.000
Co 3.478 -2.008 0.000
Zr 2.078 -3.599 1.654
Zr 2.800 0.000 1.654
Zr 2.078 3.599 1.654
```

The calculated volume is 139 Å³ per cell. As for the space group: P-62m, No. 189.

---

DFT (meta-GGA r2SCAN) results for an optimized crystal structure of Zr2GaCo3.

extended XYZ file:
```
12
Lattice="2.746 3.827 -1.806 -3.898 -1.784 -2.661 -4.662 4.989 3.484" Properties=species:S:1:pos:R:3 pbc="T T T"
Co -0.892 2.253 -0.204
Co -4.362 3.787 1.392
Co -6.256 2.920 0.099
Co -4.921 4.779 -0.779
Co -1.452 3.246 -2.374
Co 0.442 4.113 -1.082
Zr -3.730 2.278 -0.846
Zr -3.846 6.643 1.181
Zr -1.967 0.390 -2.164
Zr -2.083 4.755 -0.137
Ga -2.331 2.495 1.742
Ga 0.000 0.000 0.000
```

The calculated volume is 169 Å³ per cell. As for the space group: P6_3/mmc, No. 194.

---

DFT (meta-GGA r2SCAN) results for an optimized crystal structure of GdCo2Ge2.

extended XYZ file:
```
5
Lattice="-2.855 2.359 1.375 -1.055 -2.788 2.593 5.172 2.139 1.394" Properties=species:S:1:pos:R:3 pbc="T T T"
Ge 2.381 1.424 2.500
Ge -1.119 0.286 2.862
Co 1.081 -0.431 2.985
Co 0.181 2.142 2.376
Gd 0.000 0.000 0.000
```

The calculated volume is 79 Å³ per cell. As for the space group: I4/mmm, No. 139.

---

DFT (meta-GGA r2SCAN) results for an optimized crystal structure of GdCoSi.

extended XYZ file:
```
6
Lattice="-3.405 -1.106 1.518 1.688 -3.181 1.468 1.489 3.512 5.895" Properties=species:S:1:pos:R:3 pbc="T T T"
Co -0.858 -2.143 1.493
Co 0.000 0.000 0.000
Si -1.442 0.061 1.789
Si 2.073 1.308 5.599
Gd -0.698 1.817 4.737
Gd 1.328 -0.448 2.651
```

The calculated volume is 106 Å³ per cell. As for the space group: P4/nmm, No. 129.

---

DFT (meta-GGA r2SCAN) results for an optimized crystal structure of Ho2CoGe2.

extended XYZ file:
```
10
Lattice="-4.707 -2.144 -2.065 -1.346 -3.707 -3.933 -2.396 -9.205 3.392" Properties=species:S:1:pos:R:3 pbc="T T T"
Ho -6.807 -8.882 -4.818
Ho -1.641 -6.174 2.213
Ho -5.185 -5.816 -4.465
Ho -3.264 -9.240 1.859
Co -5.973 -10.307 -2.125
Co -2.475 -4.749 -0.481
Ge -3.401 -4.126 -2.669
Ge -5.047 -10.930 0.063
Ge -3.407 -7.157 -0.143
Ge -5.041 -7.899 -2.463
```

The calculated volume is 192 Å³ per cell. As for the space group: C2/m, No. 12.

---

DFT (meta-GGA r2SCAN) results for an optimized crystal structure of Ho2CoGe4.

extended XYZ file:
```
7
Lattice="0.000 0.000 4.036 4.098 0.002 0.000 2.053 7.957 0.000" Properties=species:S:1:pos:R:3 pbc="T T T"
Ho 4.099 1.690 1.009
Ho 2.051 6.271 3.027
Ge 4.100 7.206 1.009
Ge 4.097 3.864 3.027
Ge 2.052 3.845 1.009
Ge 2.052 0.856 3.027
Co 4.102 4.937 1.009
```

The calculated volume is 132 Å³ per cell. As for the space group: Pm, No. 6.

---

DFT (meta-GGA r2SCAN) results for an optimized crystal structure of LaCoGe.

extended XYZ file:
```
6
Lattice="-2.432 -2.719 -2.331 3.496 -2.415 -0.831 -1.213 -3.663 5.539" Properties=species:S:1:pos:R:3 pbc="T T T"
Ge 0.580 -4.509 -1.376
Ge -0.729 -4.288 3.753
Co 2.014 -2.491 -1.206
Co -0.950 -2.643 -1.956
La -0.102 -2.396 0.891
La -0.047 -6.401 1.486
```

The calculated volume is 127 Å³ per cell. As for the space group: P4/nmm, No. 129.

---

DFT (meta-GGA r2SCAN) results for an optimized crystal structure of LaCoGe2.

extended XYZ file:
```
8
Lattice="2.158 -8.384 0.000 2.158 8.384 0.000 0.000 0.000 4.239" Properties=species:S:1:pos:R:3 pbc="T T T"
Ge 2.158 -0.766 3.180
Ge 2.158 4.186 3.180
Ge 2.158 -4.186 1.060
Ge 2.158 0.766 1.060
Co 2.158 3.068 1.060
Co 2.158 -3.068 3.180
La 2.158 -6.545 3.180
La 2.158 6.545 1.060
```

The calculated volume is 153 Å³ per cell. As for the space group: Cmcm, No. 63.

---

DFT (meta-GGA r2SCAN) results for an optimized crystal structure of LiCo6Ge6.

extended XYZ file:
```
13
Lattice="5.005 0.000 0.000 -2.502 4.334 0.000 0.000 0.000 7.549" Properties=species:S:1:pos:R:3 pbc="T T T"
Ge 2.502 1.445 0.000
Ge 0.000 0.000 5.053
Ge 2.502 1.445 3.774
Ge 0.000 0.000 2.495
Ge 0.000 2.890 3.774
Ge 0.000 2.890 0.000
Co -1.251 2.167 5.662
Co 2.502 0.000 1.886
Co 2.502 0.000 5.662
Co 1.251 2.167 1.886
Co -1.251 2.167 1.886
Co 1.251 2.167 5.662
Li 0.000 0.000 0.000
```

The calculated volume is 164 Å³ per cell. As for the space group: P6/mmm, No. 191.

---

DFT (meta-GGA r2SCAN) results for an optimized crystal structure of Li2CoGe3O8.

extended XYZ file:
```
56
Lattice="8.189 0.000 0.000 0.000 8.189 0.000 0.000 0.000 8.189" Properties=species:S:1:pos:R:3 pbc="T T T"
O 5.146 0.870 7.362
O 1.212 7.012 0.974
O 4.921 3.043 4.964
O 5.272 7.215 5.307
O 0.870 7.362 5.146
O 7.012 0.974 1.212
O 3.043 4.964 4.921
O 6.977 2.918 3.121
O 4.964 4.921 3.043
O 5.069 2.883 1.177
O 5.202 1.107 2.988
O 7.319 3.268 7.138
O 5.020 7.264 0.925
O 0.827 1.052 3.225
O 3.225 0.827 1.052
O 0.925 5.020 7.264
O 0.974 1.212 7.012
O 7.082 7.082 7.082
O 5.307 5.272 7.215
O 7.362 5.146 0.870
O 7.264 0.925 5.020
O 1.107 2.988 5.202
O 2.988 5.202 1.107
O 3.169 3.169 3.169
O 2.918 3.121 6.977
O 3.121 6.977 2.918
O 1.052 3.225 0.827
O 2.883 1.177 5.069
O 7.215 5.307 5.272
O 7.138 7.319 3.268
O 3.268 7.138 7.319
O 1.177 5.069 2.883
Ge 1.030 5.141 1.054
Ge 3.065 3.048 5.148
Ge 7.143 7.135 5.124
Ge 3.048 5.148 3.065
Ge 1.054 1.030 5.141
Ge 7.160 1.046 3.041
Ge 5.141 1.054 1.030
Ge 7.135 5.124 7.143
Ge 3.041 7.160 1.046
Ge 1.046 3.041 7.160
Ge 5.124 7.143 7.135
Ge 5.148 3.065 3.048
Li 4.112 4.077 8.172
Li 8.172 4.112 4.077
Li 0.017 0.017 0.017
Li 3.067 1.028 7.161
Li 7.161 3.067 1.028
Li 5.122 5.122 5.122
Li 4.077 8.172 4.112
Li 1.028 7.161 3.067
Co 2.020 2.020 2.020
Co 2.075 6.169 6.114
Co 6.114 2.075 6.169
Co 6.169 6.114 2.075
```

The calculated volume is 549 Å³ per cell. As for the space group: P2_13, No. 198.

---

DFT (meta-GGA r2SCAN) results for an optimized crystal structure of LuCo2Ge2.

extended XYZ file:
```
5
Lattice="3.642 0.000 -1.342 -0.494 3.608 -1.342 0.024 0.028 5.681" Properties=species:S:1:pos:R:3 pbc="T T T"
Co 0.552 2.720 1.499
Co 2.620 0.916 1.499
Ge 1.977 2.266 -0.248
Ge 1.195 1.370 3.245
Lu 0.000 0.000 0.000
```

The calculated volume is 75 Å³ per cell. As for the space group: I4/mmm, No. 139.

---

DFT (meta-GGA r2SCAN) results for an optimized crystal structure of Lu2CoGe2.

extended XYZ file:
```
10
Lattice="0.293 -3.859 -3.845 3.064 -4.430 -0.867 -4.311 -8.616 2.360" Properties=species:S:1:pos:R:3 pbc="T T T"
Ge 1.210 -5.325 -2.147
Ge 0.308 -9.220 -2.053
Ge -2.164 -11.580 -0.205
Ge -1.262 -7.685 -0.299
Lu 2.219 -7.730 -3.546
Lu -3.173 -9.175 1.194
Lu 1.893 -11.101 -3.889
Lu -2.847 -5.804 1.537
Co -0.556 -5.211 -0.481
Co -0.398 -11.694 -1.871
```

The calculated volume is 183 Å³ per cell. As for the space group: C2/m, No. 12.

---

DFT (meta-GGA r2SCAN) results for an optimized crystal structure of MgCo6Ge6.

extended XYZ file:
```
13
Lattice="5.019 0.000 0.000 -2.509 4.347 0.000 0.000 0.000 7.608" Properties=species:S:1:pos:R:3 pbc="T T T"
Co -1.255 2.173 5.706
Co 1.255 2.173 5.706
Co 2.509 0.000 5.706
Co 2.509 0.000 1.902
Co -1.255 2.173 1.902
Co 1.255 2.173 1.902
Mg 0.000 0.000 0.000
Ge 0.000 2.898 0.000
Ge 0.000 0.000 5.042
Ge 2.509 1.449 3.804
Ge 2.509 1.449 0.000
Ge 0.000 0.000 2.566
Ge 0.000 2.898 3.804
```

The calculated volume is 166 Å³ per cell. As for the space group: P6/mmm, No. 191.

---

Across the entries above, DFT total energy takes the values -35.2238 -13.5623 -13.7051 -14.1362 -16.4110 -17.9791 -11.7836 -16.3429 -16.4313 -20.0595 -22.4759 -22.1242 -19.8627 -19.5532 -18.3505 -12.8323 -9.5827 -18.9915 -24.1991 -12.9363 eV per atom, respectively.